[1]
Material: TlNiCl3
Method: DFT, meta-GGA r2SCAN
State: optimized geometry

Computed properties:
Crystal system: hexagonal
Formation enthalpy at 0 K: -5.243 eV/f.u.
E: -17.772 eV per atom

Cell lengths 6.8608, 6.8608, 5.8613 Å; angles 90.00, 90.00, 120.00 degrees
Space group P6_3/mmc (No. 194)
Asymmetric unit:
Tl (0.3333, 0.6667, 0.2500)
Ni (0.0000, 0.0000, 0.0000)
Cl (0.1596, 0.3191, 0.7500)

---

[2]
Material: Zr6NiCl15
Method: DFT, meta-GGA r2SCAN
State: optimized geometry

Computed properties:
Crystal system: cubic
Formation enthalpy at 0 K: -41.414 eV/f.u.
E: -12.826 eV per atom

Cell lengths 10.265, 10.265, 10.265 Å; angles 90.00, 90.00, 90.00 degrees
Space group Im-3m (No. 229)
Asymmetric unit:
Zr (0.000, 0.000, 0.242)
Ni (0.000, 0.000, 0.000)
Cl (0.000, 0.000, 0.500)
Cl (0.000, 0.248, 0.248)

---

[3]
Material: NpCl4
Method: DFT, meta-GGA r2SCAN
State: optimized geometry

Computed properties:
Crystal system: triclinic
Formation enthalpy at 0 K: -10.267 eV/f.u.
E: -23.580 eV per atom

Cell lengths 6.972, 6.988, 7.008 Å; angles 107.16, 114.18, 107.01 degrees
Space group P1 (No. 1)
Asymmetric unit:
Np (0.000, 0.000, 0.000)
Np (0.250, 0.505, 0.753)
Cl (0.315, 0.189, 0.509)
Cl (0.317, 0.814, 0.134)
Cl (0.380, 0.316, 0.074)
Cl (0.490, 0.809, 0.677)
Cl (0.753, 0.693, 0.073)
Cl (0.869, 0.185, 0.680)
Cl (0.929, 0.689, 0.619)
Cl (0.931, 0.312, 0.244)

---

[4]
Material: NpCl4
Method: DFT, meta-GGA r2SCAN
State: optimized geometry

Computed properties:
Crystal system: triclinic
Formation enthalpy at 0 K: -10.274 eV/f.u.
E: -23.582 eV per atom

Cell lengths 6.978, 6.997, 7.003 Å; angles 107.19, 107.06, 114.12 degrees
Space group P1 (No. 1)
Asymmetric unit:
Np (0.000, 0.000, 0.000)
Np (0.255, 0.757, 0.507)
Cl (0.313, 0.136, 0.811)
Cl (0.317, 0.513, 0.190)
Cl (0.382, 0.079, 0.320)
Cl (0.496, 0.678, 0.810)
Cl (0.756, 0.081, 0.699)
Cl (0.874, 0.679, 0.186)
Cl (0.938, 0.246, 0.318)
Cl (0.938, 0.621, 0.693)

---

[5]
Material: NpCl4
Method: DFT, meta-GGA r2SCAN
State: optimized geometry

Computed properties:
Crystal system: monoclinic
Formation enthalpy at 0 K: -10.271 eV/f.u.
E: -23.581 eV per atom

Cell lengths 11.232, 8.303, 7.614 Å; angles 90.00, 132.31, 90.00 degrees
Space group C2/m (No. 12)
Asymmetric unit:
Np (0.248, 0.000, 0.122)
Cl (0.061, 0.500, 0.368)
Cl (0.064, 0.000, 0.257)
Cl (0.245, 0.188, 0.802)

---

[6]
Material: PCl3O
Method: DFT, meta-GGA r2SCAN
State: optimized geometry

Computed properties:
Crystal system: orthorhombic
Formation enthalpy at 0 K: -5.803 eV/f.u.
E: -7.847 eV per atom

Cell lengths 9.213, 5.847, 9.431 Å; angles 90.00, 90.00, 90.00 degrees
Space group Pna2_1 (No. 33)
Asymmetric unit:
P (0.183, 0.129, 0.000)
Cl (0.017, 0.912, 0.000)
Cl (0.148, 0.331, 0.166)
Cl (0.151, 0.328, 0.832)
O (0.175, 0.517, 0.501)

---

[7]
Material: PCl3O
Method: DFT, meta-GGA r2SCAN
State: optimized geometry

Computed properties:
Crystal system: orthorhombic
Formation enthalpy at 0 K: -5.710 eV/f.u.
E: -7.828 eV per atom

Cell lengths 12.071, 8.716, 6.090 Å; angles 90.00, 90.00, 90.00 degrees
Space group Pna2_1 (No. 33)
Asymmetric unit:
P (0.187, 0.245, 0.000)
Cl (0.064, 0.255, 0.217)
Cl (0.151, 0.064, 0.814)
Cl (0.161, 0.426, 0.807)
O (0.203, 0.740, 0.596)

---

[8]
Material: TiP2Cl8O3
Method: DFT, meta-GGA r2SCAN
State: optimized geometry

Computed properties:
Crystal system: monoclinic
Formation enthalpy at 0 K: -22.147 eV/f.u.
E: -8.588 eV per atom

Cell lengths 8.723, 15.465, 12.438 Å; angles 90.00, 125.10, 90.00 degrees
Space group P2_1/c (No. 14)
Asymmetric unit:
Ti (0.214, 0.134, 0.136)
P (0.015, 0.570, 0.217)
P (0.225, 0.585, 0.622)
Cl (0.113, 0.679, 0.198)
Cl (0.118, 0.236, 0.659)
Cl (0.183, 0.033, 0.463)
Cl (0.218, 0.015, 0.786)
Cl (0.337, 0.614, 0.809)
Cl (0.361, 0.183, 0.050)
Cl (0.379, 0.651, 0.579)
Cl (0.467, 0.124, 0.347)
O (0.030, 0.620, 0.543)
O (0.050, 0.076, 0.197)
O (0.251, 0.009, 0.109)

---

[9]
Material: PdPb2Se2Cl2O6
Method: DFT, meta-GGA r2SCAN
State: optimized geometry

Computed properties:
Crystal system: monoclinic
Formation enthalpy at 0 K: -13.449 eV/f.u.
E: -17.365 eV per atom

Cell lengths 8.335, 5.289, 13.120 Å; angles 90.00, 124.17, 90.00 degrees
Space group P2_1/c (No. 14)
Asymmetric unit:
Pd (0.000, 0.000, 0.000)
Pb (0.336, 0.055, 0.806)
Se (0.288, 0.035, 0.524)
Cl (0.059, 0.579, 0.691)
O (0.172, 0.199, 0.580)
O (0.431, 0.236, 0.023)
O (0.439, 0.618, 0.161)

---

[10]
Material: PrClO
Method: DFT, meta-GGA r2SCAN
State: optimized geometry

Computed properties:
Crystal system: tetragonal
Formation enthalpy at 0 K: -10.062 eV/f.u.
E: -17.197 eV per atom

Cell lengths 4.085, 4.085, 6.829 Å; angles 90.00, 90.00, 90.00 degrees
Space group P4/nmm (No. 129, origin choice 2)
Asymmetric unit:
Pr (0.250, 0.250, 0.175)
Cl (0.250, 0.250, 0.628)
O (0.250, 0.750, 0.000)

---

[11]
Material: Rb3ClO
Method: DFT, meta-GGA r2SCAN
State: optimized geometry

Computed properties:
Crystal system: orthorhombic
Formation enthalpy at 0 K: -7.560 eV/f.u.
E: -12.295 eV per atom

Cell lengths 8.714, 4.321, 15.721 Å; angles 90.00, 90.00, 90.00 degrees
Space group Pnma (No. 62)
Asymmetric unit:
Rb (0.024, 0.250, 0.096)
Rb (0.169, 0.250, 0.502)
Rb (0.199, 0.750, 0.290)
Cl (0.089, 0.750, 0.674)
O (0.172, 0.250, 0.938)

---

[12]
Material: ReClO3
Method: DFT, meta-GGA r2SCAN
State: optimized geometry

Computed properties:
Crystal system: monoclinic
Formation enthalpy at 0 K: -6.761 eV/f.u.
E: -16.648 eV per atom

Cell lengths 5.590, 9.048, 9.017 Å; angles 90.00, 122.97, 90.00 degrees
Space group P2_1/c (No. 14)
Asymmetric unit:
Re (0.076, 0.227, 0.271)
Cl (0.349, 0.074, 0.233)
O (0.073, 0.172, 0.452)
O (0.200, 0.095, 0.810)
O (0.271, 0.730, 0.405)

---

[13]
Material: ReCl3O2
Method: DFT, meta-GGA r2SCAN
State: optimized geometry

Computed properties:
Crystal system: orthorhombic
Formation enthalpy at 0 K: -6.069 eV/f.u.
E: -14.814 eV per atom

Cell lengths 8.180, 8.271, 7.893 Å; angles 90.00, 90.00, 90.00 degrees
Space group Pnnm (No. 58)
Asymmetric unit:
Re (0.071, 0.239, 0.000)
Cl (0.000, 0.000, 0.205)
Cl (0.178, 0.620, 0.500)
Cl (0.206, 0.728, 0.000)
O (0.105, 0.359, 0.171)

---

[14]
Material: SCl2O
Method: DFT, meta-GGA r2SCAN
State: optimized geometry

Computed properties:
Crystal system: monoclinic
Formation enthalpy at 0 K: -2.397 eV/f.u.
E: -7.177 eV per atom

Cell lengths 8.974, 5.850, 7.681 Å; angles 90.00, 100.45, 90.00 degrees
Space group P2_1/c (No. 14)
Asymmetric unit:
S (0.165, 0.063, 0.258)
Cl (0.249, 0.722, 0.910)
Cl (0.373, 0.205, 0.235)
O (0.096, 0.211, 0.370)

---

[15]
Material: Sb3ClO4
Method: DFT, meta-GGA r2SCAN
State: optimized geometry

Computed properties:
Crystal system: monoclinic
Formation enthalpy at 0 K: -11.127 eV/f.u.
E: -14.786 eV per atom

Cell lengths 9.745, 5.327, 5.621 Å; angles 90.00, 94.99, 90.00 degrees
Space group P2/c (No. 13)
Asymmetric unit:
Sb (0.000, 0.182, 0.250)
Sb (0.293, 0.293, 0.700)
Cl (0.500, 0.295, 0.250)
O (0.117, 0.084, 0.602)
O (0.208, 0.471, 0.957)